# NdTmTl2

A relaxed NdTmTl2 crystal (PBE, the Materials Project).

POSCAR file:
```
NdTmTl2
1.0
0.0000 3.8369 3.8369
3.8369 0.0000 3.8369
3.8369 3.8369 0.0000
Nd Tm Tl
1 1 2
Cartesian
0.0000 0.0000 0.0000
3.8369 3.8369 3.8369
1.9185 1.9185 1.9185
5.7554 5.7554 5.7554
```

Output
For the formation energy, the calculation gives -130 kJ/mol of formula units. As for the symmetry: Fm-3m.